Below is TeO6 after structural relaxation, with properties calculated at the GGA-PBE level.

E_form: -6 meV per atom
Energy above the lowest structure with this stoichiometry: 0.000 eV per atom
Space group: Fd-3c, No. 228
DFT total energy: -4.559 eV/atom

Unit cell a=10.194 b=10.194 c=10.194 alpha=60.00 beta=60.00 gamma=60.00
Fractional positions:
Te  0.000  0.000  0.000
Te  0.000  0.000  0.500
Te  0.000  0.500  0.000
Te  0.000  0.500  0.500
Te  0.500  0.000  0.000
Te  0.500  0.000  0.500
Te  0.500  0.500  0.000
Te  0.500  0.500  0.500
O  0.014  0.246  0.330
O  0.014  0.330  0.910
O  0.014  0.910  0.246
O  0.090  0.670  0.754
O  0.090  0.754  0.986
O  0.090  0.986  0.670
O  0.170  0.254  0.486
O  0.170  0.486  0.590
O  0.170  0.590  0.254
O  0.246  0.014  0.910
O  0.246  0.330  0.014
O  0.246  0.910  0.330
O  0.254  0.170  0.590
O  0.254  0.486  0.170
O  0.254  0.590  0.486
O  0.330  0.014  0.246
O  0.330  0.246  0.910
O  0.330  0.910  0.014
O  0.410  0.514  0.746
O  0.410  0.746  0.830
O  0.410  0.830  0.514
O  0.486  0.170  0.254
O  0.486  0.254  0.590
O  0.486  0.590  0.170
O  0.514  0.410  0.830
O  0.514  0.746  0.410
O  0.514  0.830  0.746
O  0.590  0.170  0.486
O  0.590  0.254  0.170
O  0.590  0.486  0.254
O  0.670  0.090  0.986
O  0.670  0.754  0.090
O  0.670  0.986  0.754
O  0.746  0.410  0.514
O  0.746  0.514  0.830
O  0.746  0.830  0.410
O  0.754  0.090  0.670
O  0.754  0.670  0.986
O  0.754  0.986  0.090
O  0.830  0.410  0.746
O  0.830  0.514  0.410
O  0.830  0.746  0.514
O  0.910  0.014  0.330
O  0.910  0.246  0.014
O  0.910  0.330  0.246
O  0.986  0.090  0.754
O  0.986  0.670  0.090
O  0.986  0.754  0.670

Below is Np2O3 after structural relaxation, with properties calculated at the GGA-PBE level.

E_form: -3122 meV per atom
Space group: R-3c, No. 167
DFT total energy: -10.858 eV/atom

Unit cell a=6.099 b=6.099 c=6.099 alpha=58.80 beta=58.80 gamma=58.80
Fractional positions:
Np  0.137  0.137  0.137
Np  0.363  0.363  0.363
Np  0.637  0.637  0.637
Np  0.863  0.863  0.863
O  0.032  0.750  0.468
O  0.250  0.532  0.968
O  0.468  0.032  0.750
O  0.532  0.968  0.250
O  0.750  0.468  0.032
O  0.968  0.250  0.532

Below is Ce2MgCd after structural relaxation, with properties calculated at the GGA-PBE level.

E_form: 6 meV per atom
Space group: Fm-3m, No. 225
DFT total energy: -3.591 eV/atom

Unit cell a=5.446 b=5.446 c=5.446 alpha=60.00 beta=60.00 gamma=60.00
Fractional positions:
Ce  0.250  0.250  0.250
Ce  0.750  0.750  0.750
Mg  0.000  0.000  0.000
Cd  0.500  0.500  0.500

Below is Sb8Br2O11 after structural relaxation, with properties calculated at the GGA-PBE level.

E_form: -1635 meV per atom
Space group: P-1, No. 2
DFT total energy: -5.595 eV/atom

Unit cell a=10.796 b=11.587 c=14.275 alpha=78.72 beta=76.70 gamma=72.85
Fractional positions:
Sb  0.005  0.119  0.188
Sb  0.007  0.602  0.068
Sb  0.017  0.113  0.559
Sb  0.029  0.348  0.313
Sb  0.156  0.920  0.032
Sb  0.158  0.648  0.317
Sb  0.174  0.414  0.557
Sb  0.185  0.171  0.792
Sb  0.274  0.877  0.638
Sb  0.293  0.126  0.392
Sb  0.303  0.362  0.135
Sb  0.303  0.630  0.861
Sb  0.332  0.898  0.246
Sb  0.336  0.643  0.493
Sb  0.360  0.389  0.729
Sb  0.363  0.147  0.974
Sb  0.637  0.853  0.026
Sb  0.640  0.611  0.271
Sb  0.664  0.357  0.507
Sb  0.668  0.102  0.754
Sb  0.697  0.370  0.139
Sb  0.697  0.638  0.865
Sb  0.707  0.874  0.608
Sb  0.726  0.123  0.362
Sb  0.815  0.829  0.208
Sb  0.826  0.586  0.443
Sb  0.842  0.352  0.683
Sb  0.844  0.080  0.968
Sb  0.971  0.652  0.687
Sb  0.983  0.887  0.441
Sb  0.993  0.398  0.932
Sb  0.995  0.881  0.812
Br  0.455  0.672  0.092
Br  0.477  0.397  0.347
Br  0.487  0.876  0.831
Br  0.494  0.135  0.588
Br  0.506  0.865  0.412
Br  0.513  0.124  0.169
Br  0.523  0.603  0.653
Br  0.545  0.328  0.908
O  0.009  0.262  0.857
O  0.009  0.494  0.380
O  0.018  0.235  0.643
O  0.027  0.974  0.910
O  0.078  0.969  0.687
O  0.095  0.226  0.431
O  0.110  0.473  0.158
O  0.159  0.646  0.977
O  0.179  0.950  0.170
O  0.180  0.595  0.458
O  0.202  0.782  0.787
O  0.207  0.331  0.701
O  0.211  0.074  0.969
O  0.215  0.039  0.531
O  0.215  0.770  0.572
O  0.223  0.031  0.324
O  0.228  0.295  0.271
O  0.238  0.513  0.809
O  0.242  0.267  0.059
O  0.255  0.768  0.337
O  0.291  0.500  0.599
O  0.302  0.241  0.849
O  0.698  0.759  0.151
O  0.709  0.500  0.401
O  0.745  0.232  0.663
O  0.758  0.733  0.941
O  0.762  0.487  0.191
O  0.772  0.705  0.729
O  0.777  0.969  0.676
O  0.785  0.230  0.428
O  0.785  0.961  0.469
O  0.789  0.926  0.031
O  0.793  0.669  0.299
O  0.798  0.218  0.213
O  0.820  0.405  0.542
O  0.821  0.050  0.830
O  0.841  0.354  0.023
O  0.890  0.527  0.842
O  0.905  0.774  0.569
O  0.922  0.031  0.313
O  0.973  0.026  0.090
O  0.982  0.765  0.357
O  0.991  0.506  0.620
O  0.991  0.738  0.143

Below is Y4Zr3O12 after structural relaxation, with properties calculated at the GGA-PBE level.

E_form: -3924 meV per atom
Energy above the lowest structure with this stoichiometry: 0.000 eV per atom
Space group: P-1, No. 2
DFT total energy: -9.327 eV/atom

Unit cell a=6.394 b=6.434 c=6.608 alpha=99.80 beta=98.46 gamma=99.61
Fractional positions:
Y  0.113  0.301  0.135
Y  0.196  0.865  0.390
Y  0.804  0.135  0.610
Y  0.887  0.699  0.865
Zr  0.350  0.397  0.671
Zr  0.500  0.000  0.000
Zr  0.650  0.603  0.329
O  0.087  0.418  0.821
O  0.090  0.188  0.435
O  0.185  0.932  0.059
O  0.328  0.570  0.426
O  0.421  0.086  0.694
O  0.475  0.322  0.115
O  0.525  0.678  0.885
O  0.579  0.914  0.306
O  0.672  0.430  0.574
O  0.815  0.068  0.941
O  0.910  0.812  0.565
O  0.913  0.582  0.179

Below is TiVP after structural relaxation, with properties calculated at the GGA-PBE level.

E_form: -1080 meV per atom
Space group: Pnma, No. 62
DFT total energy: -8.544 eV/atom

Unit cell a=6.363 b=3.347 c=7.646 alpha=90.00 beta=90.00 gamma=90.00
Fractional positions:
Ti  0.042  0.250  0.167
Ti  0.458  0.750  0.667
Ti  0.542  0.250  0.333
Ti  0.958  0.750  0.833
V  0.133  0.250  0.559
V  0.367  0.750  0.059
V  0.633  0.250  0.941
V  0.867  0.750  0.441
P  0.245  0.750  0.359
P  0.255  0.250  0.859
P  0.745  0.750  0.141
P  0.755  0.250  0.641

Below is Li5Mo15S19 after structural relaxation, with properties calculated at the GGA-PBE level.

E_form: -1036 meV per atom
Space group: P2_1/m, No. 11
DFT total energy: -7.223 eV/atom

Unit cell a=9.460 b=18.977 c=9.461 alpha=90.00 beta=119.96 gamma=90.00
Fractional positions:
Li  0.056  0.250  0.341
Li  0.159  0.250  0.715
Li  0.215  0.750  0.556
Li  0.334  0.093  0.167
Li  0.334  0.407  0.167
Li  0.666  0.593  0.833
Li  0.666  0.907  0.833
Li  0.785  0.250  0.444
Li  0.841  0.750  0.285
Li  0.944  0.750  0.659
Mo  0.014  0.559  0.672
Mo  0.014  0.941  0.672
Mo  0.158  0.558  0.486
Mo  0.158  0.750  0.013
Mo  0.158  0.942  0.486
Mo  0.172  0.059  0.659
Mo  0.172  0.441  0.659
Mo  0.184  0.631  0.190
Mo  0.184  0.869  0.190
Mo  0.310  0.631  0.995
Mo  0.310  0.869  0.995
Mo  0.355  0.750  0.342
Mo  0.487  0.750  0.145
Mo  0.495  0.131  0.685
Mo  0.495  0.369  0.685
Mo  0.505  0.631  0.315
Mo  0.505  0.869  0.315
Mo  0.513  0.250  0.855
Mo  0.645  0.250  0.658
Mo  0.690  0.131  0.005
Mo  0.690  0.369  0.005
Mo  0.816  0.131  0.810
Mo  0.816  0.369  0.810
Mo  0.828  0.559  0.341
Mo  0.828  0.941  0.341
Mo  0.842  0.058  0.514
Mo  0.842  0.250  0.987
Mo  0.842  0.442  0.514
Mo  0.986  0.059  0.328
Mo  0.986  0.441  0.328
S  0.000  0.159  0.500
S  0.000  0.341  0.500
S  0.000  0.659  0.500
S  0.000  0.841  0.500
S  0.006  0.640  0.887
S  0.006  0.860  0.887
S  0.032  0.051  0.815
S  0.032  0.449  0.815
S  0.055  0.750  0.207
S  0.284  0.051  0.469
S  0.284  0.449  0.469
S  0.293  0.750  0.848
S  0.315  0.551  0.784
S  0.315  0.949  0.784
S  0.333  0.533  0.167
S  0.333  0.967  0.167
S  0.348  0.250  0.556
S  0.381  0.640  0.494
S  0.381  0.860  0.494
S  0.387  0.140  0.881
S  0.387  0.360  0.881
S  0.613  0.640  0.119
S  0.613  0.860  0.119
S  0.619  0.140  0.506
S  0.619  0.360  0.506
S  0.652  0.750  0.444
S  0.667  0.033  0.833
S  0.667  0.467  0.833
S  0.685  0.051  0.216
S  0.685  0.449  0.216
S  0.707  0.250  0.152
S  0.716  0.551  0.531
S  0.716  0.949  0.531
S  0.945  0.250  0.793
S  0.968  0.551  0.185
S  0.968  0.949  0.185
S  0.994  0.140  0.113
S  0.994  0.360  0.113

Below is PtC4S2I2O2 after structural relaxation, with properties calculated at the GGA-PBE level.

E_form: 708 meV per atom
Space group: P-1, No. 2
DFT total energy: -5.003 eV/atom

Unit cell a=6.550 b=6.638 c=8.835 alpha=76.55 beta=81.33 gamma=80.37
Fractional positions:
Pt  0.000  0.000  0.000
C  0.205  0.691  0.309
C  0.333  0.701  0.404
C  0.667  0.299  0.596
C  0.795  0.309  0.691
S  0.001  0.239  0.777
S  0.999  0.761  0.223
I  0.307  0.750  0.877
I  0.693  0.250  0.123
O  0.187  0.334  0.706
O  0.813  0.666  0.294